Record 1
36
Lattice="8.1618 -5.5382 0.0000 8.1618 5.5382 0.0000 -1.5979 0.0000 5.1450" Properties=species:S:1:pos:R:3 comment="PBE+U Ho2WO6, optimized geometry" spacegroup="No. 15" e_above_lowest_polymorph_ev_per_atom=0.039 e_form_mev_per_atom=-3282.3 dft_energy_ev_per_cell=-291.2 pbc="T T T"
Ho 1.3694 1.2670 4.5411
Ho 6.9634 4.3740 3.8588
Ho 2.1684 -1.2670 1.9686
Ho 7.7624 1.4865 1.2863
Ho 6.9634 -1.4865 3.8588
Ho 12.5574 1.2670 3.1765
Ho 7.7624 -4.3740 1.2863
Ho 13.3564 -1.2670 0.6040
W 4.7564 1.6354 2.9141
W 5.5553 -1.6354 0.3416
W 9.1705 1.6354 4.8034
W 9.9694 -1.6354 2.2309
O 3.9401 2.2879 1.3383
O 1.3658 0.1811 0.4028
O 0.5669 -0.1811 2.9753
O 6.2489 2.9305 2.1673
O 5.0837 2.4644 4.5612
O 3.3023 0.5495 3.3386
O 9.2758 2.9305 0.4052
O 4.1013 -0.5495 0.7660
O 8.8431 2.4644 3.1564
O 6.0682 0.3634 2.6757
O 6.8671 -0.3634 0.1032
O 3.1412 -2.2879 3.9108
O 11.5846 2.2879 1.2342
O 7.8587 0.3634 5.0419
O 8.6576 -0.3634 2.4693
O 5.8827 -2.4644 1.9886
O 10.6246 0.5495 4.3790
O 5.4500 -2.9305 4.7398
O 11.4235 -0.5495 1.8065
O 9.6421 -2.4644 0.5839
O 8.4769 -2.9305 2.9777
O 14.1589 0.1811 2.1697
O 13.3600 -0.1811 4.7423
O 10.7857 -2.2879 3.8068

***

Record 2
24
Lattice="2.5875 -4.4636 0.0000 2.5875 4.4636 0.0000 -0.1710 0.0000 10.3504" Properties=species:S:1:pos:R:3 comment="PBE+U LiCoBO3, optimized geometry" spacegroup="No. 9" e_above_lowest_polymorph_ev_per_atom=0.007 e_form_mev_per_atom=-2251.7 dft_energy_ev_per_cell=-161.4 pbc="T T T"
Li 2.5019 4.4494 5.1752
Li 1.6361 0.0571 2.5974
Li 1.5506 -0.0571 7.7726
Li 2.5875 -4.4494 0.0000
Co 2.4213 1.4757 10.1605
Co 4.1434 1.4718 7.5617
Co 2.5068 -1.4757 4.9853
Co 4.2289 -1.4718 2.3865
B 2.4936 1.4974 4.7508
B 4.2571 1.5021 2.1608
B 2.4080 -1.4974 9.9260
B 4.1716 -1.5021 7.3360
O 2.3147 4.1291 7.2034
O 1.8588 2.7274 4.4539
O 2.1778 1.7667 7.6845
O 1.7629 0.3314 4.6039
O 1.6774 -0.3314 9.7791
O 2.8732 1.4694 1.8711
O 3.8212 1.4762 5.1222
O 2.2633 -1.7667 2.5093
O 1.7733 -2.7274 9.6292
O 2.7877 -1.4694 7.0463
O 3.7357 -1.4762 10.2974
O 2.4002 -4.1291 2.0282

***

Record 3
34
Lattice="6.2309 0.0000 0.0000 3.0629 6.9339 0.0000 2.9762 2.4343 9.4737" Properties=species:S:1:pos:R:3 comment="PBE+U MnH4S2O10, optimized geometry" spacegroup="No. 2" e_above_lowest_polymorph_ev_per_atom=0.002 e_form_mev_per_atom=-1585.5 dft_energy_ev_per_cell=-197.8 pbc="T T T"
Mn 2.3560 3.9312 2.3945
Mn 9.9140 5.4370 7.0792
H 4.6400 3.4012 8.1591
H 4.2044 3.0943 6.5652
H 2.8430 1.4266 2.8317
H 4.0929 2.0381 1.9398
H 8.1772 7.3301 7.5339
H 9.4271 7.9416 6.6420
H 8.0656 6.2739 2.9085
H 7.6301 5.9670 1.3146
S 4.0692 6.1460 3.9235
S 5.6592 7.3134 8.8143
S 6.6108 2.0548 0.6594
S 8.2008 3.2222 5.5502
O 1.4770 1.1417 0.3686
O 4.4430 5.6064 5.2979
O 5.3108 6.3340 7.7050
O 3.2340 2.4854 5.5061
O 3.0135 4.0235 0.5693
O 3.9392 4.9108 3.0225
O 5.2119 6.8942 3.4469
O 4.6536 3.7463 7.2144
O 6.9051 7.9368 8.3853
O 3.3435 2.2501 2.5794
O 8.9266 7.1181 6.8943
O 5.3649 1.4314 1.0884
O 7.6165 5.6219 2.2593
O 7.0581 2.4740 6.0268
O 8.3308 4.4574 6.4512
O 9.2566 5.3447 8.9044
O 9.0361 6.8828 3.9676
O 6.9592 3.0342 1.7687
O 7.8271 3.7618 4.1758
O 10.7931 8.2266 9.1051

***

Record 4
34
Lattice="8.1586 0.0000 0.0000 4.0478 7.1396 0.0000 4.0394 2.3488 7.3291" Properties=species:S:1:pos:R:3 comment="PBE+U CrH12C6N3O12, optimized geometry" spacegroup="No. 1" e_form_mev_per_atom=-695.2 dft_energy_ev_per_cell=-203.5 pbc="T T T"
Cr 0.0000 0.0000 0.0000
H 6.2232 3.9851 6.1096
H 5.1053 3.5668 2.7365
H 8.4092 6.7777 6.1210
H 6.4682 6.0014 1.5089
H 8.5912 7.9513 2.7437
H 6.7455 4.2813 3.0008
H 8.4159 6.1801 3.0226
H 9.6830 3.4320 6.1083
H 7.8825 2.6327 1.5131
H 9.2336 3.7650 3.0074
H 10.0682 5.5841 1.5155
H 10.6792 2.7065 2.7421
C 7.4220 7.1293 5.7679
C 5.6237 5.3212 1.7024
C 6.4257 2.9508 5.7775
C 9.8638 6.6503 1.7069
C 10.4887 4.1079 5.7674
C 8.9063 2.2709 1.7055
N 5.8530 4.3000 2.4946
N 8.8639 6.9428 2.5063
N 9.6649 2.9861 2.5009
O 6.9931 8.2675 6.1600
O 1.1505 1.2041 1.1393
O 4.5003 5.5324 1.1440
O 6.7609 6.3853 4.9919
O 4.0622 2.3621 2.9384
O 5.6609 2.0088 6.1778
O 8.1021 4.7191 4.2533
O 7.4118 2.7449 5.0152
O 10.1856 5.0585 4.9930
O 6.5307 0.3964 1.1371
O 12.2496 7.1312 4.6819
O 11.6870 3.9098 6.1658

***

Record 5
92
Lattice="9.7979 0.0000 0.0000 4.8769 8.5141 0.0000 0.0835 0.0266 13.9450" Properties=species:S:1:pos:R:3 comment="PBE+U Li6V3P8O29, optimized geometry" spacegroup="No. 1" e_above_lowest_polymorph_ev_per_atom=0.005 e_form_mev_per_atom=-2658.0 dft_energy_ev_per_cell=-645.5 pbc="T T T"
Li 0.0000 0.0000 0.0000
Li 2.8439 4.8830 0.7207
Li 5.0310 2.8668 10.1018
Li 7.1169 6.4768 2.4360
Li 7.9471 7.6281 9.3412
Li 4.3154 0.0077 0.7727
Li 7.2513 4.9362 7.6558
Li 10.6118 8.3425 7.6307
Li 9.8639 5.6712 1.6442
Li 9.2645 3.0016 9.3605
Li 10.5341 2.8838 2.4516
Li 11.8758 3.7925 7.6822
V 4.3702 5.7422 11.9749
V 2.2040 2.0159 5.0662
V 2.9204 0.9059 12.0178
V 5.6252 5.6896 5.0419
V 7.7625 2.0232 12.0821
V 7.1481 0.8445 4.9714
P 0.1388 0.0691 10.3189
P 0.1195 0.0135 3.3302
P 5.0098 2.8927 13.7320
P 5.0093 2.8497 6.7432
P 7.8777 7.6793 6.3207
P 7.2769 6.4854 13.3579
P 7.2332 4.9545 10.7562
P 9.1844 8.4012 3.7742
P 10.6125 8.4329 10.6553
P 7.9625 3.7932 3.7644
P 9.1597 2.9757 6.3485
P 11.8488 7.6116 13.2754
P 10.6033 3.0165 13.3025
P 12.5512 6.4240 6.2942
P 12.5269 4.9484 3.7238
P 11.9508 3.7589 10.7217
O 2.1280 3.5072 3.8666
O 0.1942 0.0737 8.8409
O 3.0372 5.0021 10.7434
O 0.1526 0.0363 1.8225
O 4.3839 7.2851 10.9726
O 1.4710 1.6173 13.1406
O 4.2949 6.4892 6.0366
O 4.2449 4.8971 3.9237
O 1.6078 0.1026 10.9297
O 3.0841 2.5246 10.9476
O 5.8249 7.2943 3.8446
O 3.5171 2.9082 6.2317
O 4.2940 4.1745 13.1642
O 2.1495 0.4230 6.0534
O 5.7363 6.6046 13.1796
O 3.5632 1.2052 3.9274
O 5.7079 4.7315 10.9768
O 4.8836 2.8027 1.2666
O 7.0008 6.4129 6.3331
O 4.2846 1.6104 13.1288
O 7.9010 7.9015 13.2915
O 5.0125 2.8801 8.2535
O 5.7856 4.1149 6.2078
O 6.9801 5.0054 3.8121
O 4.1848 0.0284 10.7371
O 7.4997 5.7499 9.5071
O 8.7096 7.8125 7.5678
O 7.6492 5.7668 0.6569
O 8.8040 7.6058 2.5390
O 7.8299 5.7187 12.0382
O 8.8555 7.4768 5.0593
O 6.4566 2.8513 13.1003
O 5.7012 1.5595 6.2057
O 6.3113 1.3441 10.9412
O 5.8307 0.1055 3.8496
O 7.1995 2.4780 3.8796
O 7.9153 3.5733 10.7381
O 10.8058 7.5558 0.4742
O 8.8175 3.9709 5.1421
O 11.0750 7.8346 9.3863
O 8.6705 3.6109 7.6251
O 8.9296 3.9561 2.6299
O 11.0315 7.4916 11.8940
O 9.0915 2.8270 13.2726
O 11.9649 7.8523 6.2885
O 8.4815 1.6289 6.0519
O 7.8695 0.3762 13.1651
O 9.1480 1.2898 10.9208
O 13.3669 8.4402 3.9314
O 11.9080 5.7628 4.9582
O 10.9785 3.8934 12.0040
O 12.0264 5.5388 2.4409
O 11.0019 3.7226 0.5864
O 12.1944 5.6207 7.4821
O 11.1070 3.5834 9.4952
O 10.6973 2.8204 6.3510
O 12.7946 6.3884 13.2944
O 10.5661 1.3447 3.8652

***

Record 6
12
Lattice="2.9365 -4.4018 0.0000 2.9365 4.4018 0.0000 0.0000 0.0000 6.3179" Properties=species:S:1:pos:R:3 comment="PBE+U Li3VF8, optimized geometry" spacegroup="No. 21" e_above_lowest_polymorph_ev_per_atom=0.004 e_form_mev_per_atom=-2938.3 e_ij_max_c_m2=0.337 dft_energy_ev_per_cell=-60.0 pbc="T T T"
Li 0.0000 0.0000 0.0000
Li 1.4682 2.2009 5.3074
Li 1.4682 -2.2009 1.0105
V 0.0000 0.0000 3.1589
F 1.2728 0.1322 4.4665
F 2.9365 2.5984 3.1589
F 2.9365 2.5856 0.0000
F 1.2728 -0.1322 1.8514
F 4.6002 0.1322 1.8514
F 2.9365 -2.5856 0.0000
F 2.9365 -2.5984 3.1589
F 4.6002 -0.1322 4.4665

***

Record 7
60
Lattice="7.9984 0.0000 0.0000 0.0000 12.7427 0.0000 -0.3335 0.0000 8.0033" Properties=species:S:1:pos:R:3 comment="PBE+U P2W2O11, optimized geometry" spacegroup="No. 11" e_above_lowest_polymorph_ev_per_atom=0.007 e_form_mev_per_atom=-2377.4 dft_energy_ev_per_cell=-441.6 pbc="T T T"
P 0.4631 3.1857 2.7551
P 1.7961 0.0527 4.9273
P 1.7961 6.3187 4.9273
P 1.9818 9.5570 0.8496
P 5.6831 3.1857 7.1537
P 5.8688 6.4240 3.0759
P 5.8688 12.6900 3.0759
P 7.2019 9.5570 5.2482
W 1.1298 0.0264 1.5396
W 1.1298 6.3450 1.5396
W 2.6584 9.5570 5.5549
W 2.6689 3.1857 5.5241
W 4.9960 9.5570 2.4792
W 5.0065 3.1857 2.4484
W 6.5351 6.3977 6.4637
W 6.5351 12.7163 6.4637
O 0.0000 0.0000 0.0000
O 0.0000 6.3713 0.0000
O 0.3854 0.3168 5.3745
O 0.3854 6.0545 5.3745
O 0.7452 1.9373 1.8761
O 0.7452 4.4341 1.8761
O 0.6336 9.5570 4.7379
O 1.2907 8.3227 1.4741
O 1.2907 10.7914 1.4741
O 1.4653 3.1857 3.9352
O 1.4159 3.1857 6.7185
O 1.5063 9.5570 7.3384
O 1.9092 6.4435 3.3732
O 1.9092 12.6705 3.3732
O 2.6153 0.3227 0.7095
O 2.6153 6.0487 0.7095
O 2.4168 7.5840 5.5567
O 2.4168 11.5301 5.5567
O 2.7452 1.2303 5.3199
O 2.7452 5.1411 5.3199
O 3.4957 9.5570 1.2204
O 3.3832 9.5570 3.8759
O 3.5570 3.1857 1.5011
O 4.1079 9.5570 6.5022
O 4.2817 3.1857 4.1274
O 4.1692 3.1857 6.7828
O 4.9197 7.6016 2.6833
O 4.9197 11.5124 2.6833
O 5.2481 1.2126 2.4466
O 5.2481 5.1587 2.4466
O 5.0497 6.6940 7.2938
O 5.0497 12.4200 7.2938
O 5.7558 0.0722 4.6301
O 5.7558 6.2992 4.6301
O 6.1587 3.1857 0.6648
O 6.2491 9.5570 1.2847
O 6.1996 9.5570 4.0681
O 6.3743 1.9513 6.5292
O 6.3743 4.4200 6.5292
O 7.0313 3.1857 3.2654
O 6.9197 8.3086 6.1272
O 6.9197 10.8054 6.1272
O 7.2795 6.6882 2.6287
O 7.2795 12.4258 2.6287

***

Record 8
32
Lattice="7.3551 0.0000 0.0000 0.0000 8.5693 0.0000 0.0000 0.0000 5.7880" Properties=species:S:1:pos:R:3 comment="PBE+U DyMn2O5, optimized geometry" spacegroup="No. 55" e_form_mev_per_atom=-2653.8 dft_energy_ev_per_cell=-248.5 pbc="T T T"
Dy 1.0125 1.4616 0.0000
Dy 2.6650 5.7463 0.0000
Dy 4.6900 2.8231 0.0000
Dy 6.3425 7.1077 0.0000
Mn 0.0000 4.2847 1.4678
Mn 0.0000 4.2847 4.3202
Mn 0.6513 7.2707 2.8940
Mn 3.0263 2.9861 2.8940
Mn 3.6775 0.0000 1.4678
Mn 3.6775 0.0000 4.3202
Mn 4.3288 5.5832 2.8940
Mn 6.7038 1.2986 2.8940
O 0.0000 0.0000 1.5641
O 0.0000 0.0000 4.2239
O 0.7872 6.0576 1.3905
O 0.7872 6.0576 4.3975
O 1.1094 3.6861 2.8940
O 1.2038 3.7929 0.0000
O 2.4737 8.0775 0.0000
O 2.5681 7.9708 2.8940
O 2.8904 1.7730 1.3905
O 2.8904 1.7730 4.3975
O 3.6775 4.2847 1.5641
O 3.6775 4.2847 4.2239
O 4.4647 6.7963 1.3905
O 4.4647 6.7963 4.3975
O 4.7870 0.5985 2.8940
O 4.8813 0.4918 0.0000
O 6.1513 4.7764 0.0000
O 6.2456 4.8832 2.8940
O 6.5679 2.5117 1.3905
O 6.5679 2.5117 4.3975

***

Record 9
20
Lattice="5.5250 0.0000 0.0000 0.0000 5.5314 0.0000 -5.4439 0.0000 7.6147" Properties=species:S:1:pos:R:3 comment="PBE+U CaLaFeCuO6, optimized geometry" spacegroup="No. 7" e_form_mev_per_atom=-2312.3 dft_energy_ev_per_cell=-131.9 pbc="T T T"
Ca 0.0000 1.1433 0.0000
Ca -2.7219 4.3881 3.8074
La -0.0413 1.5529 3.7989
La -2.7632 3.9785 7.6062
Fe -2.7540 1.3821 5.7105
Fe -0.0320 4.1493 1.9031
Cu 2.7358 1.3878 1.8966
Cu 0.0139 4.1436 5.7040
O 1.2146 2.5533 6.0290
O 3.9366 2.9780 2.2216
O -1.2167 0.1493 2.1780
O -3.9387 5.3821 5.9854
O 1.1266 2.5881 1.5819
O -1.5954 2.9432 5.3893
O -1.2260 0.1792 5.4243
O 1.4960 5.3521 1.6169
O 3.1690 1.4754 0.0363
O 0.4471 4.0559 3.8437
O 2.3559 1.2671 3.7615
O -0.3661 4.2642 7.5689

***

Record 10
10
Lattice="0.0000 4.2462 4.2462 4.2462 0.0000 4.2462 4.2462 4.2462 0.0000" Properties=species:S:1:pos:R:3 comment="PBE+U KSmEuWO6, optimized geometry" spacegroup="No. 216" e_above_lowest_polymorph_ev_per_atom=0.018 e_form_mev_per_atom=-2862.3 dft_energy_ev_per_cell=-78.8 pbc="T T T"
K 0.0000 0.0000 0.0000
Sm 2.1231 2.1231 2.1231
Eu 4.2462 4.2462 4.2462
W 6.3692 6.3692 6.3692
O 6.3692 6.3692 4.4148
O 6.3692 4.4148 6.3692
O 8.3237 6.3692 6.3692
O 4.4148 6.3692 6.3692
O 6.3692 8.3237 6.3692
O 6.3692 6.3692 8.3237